Record 1
LuCoC2 after structural relaxation, computed with r²SCAN.

The structure in POSCAR format:
```
LuCoC2
1.0
-3.413 0.000 0.000
0.000 -2.222 -2.955
0.000 -2.222 2.955
Lu Co C
1 1 2
Direct
0.000 0.001 0.999 Lu
0.500 0.385 0.615 Co
0.500 0.849 0.460 C
0.500 0.540 0.151 C
```

Results
- ρ (g/cm3) = 9.56
- space-group type = Amm2 (38)
- calculated formation energy (eV/atom) = -0.419

Record 2
TmAu after structural relaxation, computed with r²SCAN.

The structure in POSCAR format:
```
TmAu
1.0
-1.943 4.617 2.698
-0.647 -3.066 -4.749
-3.184 -2.560 2.087
Tm Au
2 2
Direct
0.861 0.139 0.750 Tm
0.139 0.861 0.250 Tm
0.589 0.411 0.750 Au
0.411 0.589 0.250 Au
```

Results
- ρ (g/cm3) = 13.47
- space-group type = Cmcm (63)
- calculated formation energy (eV/atom) = -1.006

Record 3
Li2PdF6 after structural relaxation, computed with r²SCAN.

The structure in POSCAR format:
```
Li2PdF6
1.0
-2.676 2.400 2.856
-3.717 -2.045 -1.764
0.684 -6.525 6.124
Li Pd F
4 2 12
Direct
0.000 0.000 0.336 Li
0.500 0.500 0.836 Li
0.000 0.000 0.664 Li
0.500 0.500 0.164 Li
0.500 0.500 0.500 Pd
0.000 0.000 0.000 Pd
0.305 0.694 0.661 F
0.195 0.194 0.839 F
0.705 0.296 0.000 F
0.795 0.796 0.500 F
0.295 0.704 0.000 F
0.205 0.204 0.500 F
0.195 0.194 0.161 F
0.305 0.694 0.339 F
0.805 0.806 0.839 F
0.695 0.306 0.661 F
0.805 0.806 0.161 F
0.695 0.306 0.339 F
```

Results
- ρ (g/cm3) = 4.11
- space-group type = P4_2/mnm (136)
- calculated formation energy (eV/atom) = -2.286

Record 4
CaV2O4 after structural relaxation, computed with r²SCAN.

The structure in POSCAR format:
```
CaV2O4
1.0
2.957 0.000 0.000
0.000 9.286 0.000
0.000 0.000 10.730
Ca V O
4 8 16
Direct
0.250 0.257 0.154 Ca
0.750 0.743 0.846 Ca
0.250 0.757 0.346 Ca
0.750 0.243 0.654 Ca
0.250 0.436 0.386 V
0.750 0.564 0.614 V
0.250 0.936 0.114 V
0.750 0.064 0.886 V
0.250 0.418 0.895 V
0.750 0.582 0.105 V
0.250 0.918 0.605 V
0.750 0.082 0.395 V
0.250 0.206 0.835 O
0.750 0.794 0.165 O
0.250 0.706 0.665 O
0.750 0.294 0.335 O
0.250 0.117 0.523 O
0.750 0.883 0.477 O
0.250 0.617 0.977 O
0.750 0.383 0.023 O
0.250 0.023 0.282 O
0.750 0.977 0.718 O
0.250 0.523 0.218 O
0.750 0.477 0.782 O
0.250 0.418 0.572 O
0.750 0.582 0.428 O
0.250 0.918 0.928 O
0.750 0.082 0.072 O
```

Results
- relative energy among the computed polymorphs (eV/f.u.) = 0.00
- ρ (g/cm3) = 4.64
- space-group type = Pnma (62)
- calculated formation energy (eV/atom) = -2.863

Record 5
DySi after structural relaxation, computed with r²SCAN.

The structure in POSCAR format:
```
DySi
1.0
3.819 0.000 0.000
0.000 3.961 -1.606
0.000 -0.003 5.682
Dy Si
2 2
Direct
0.250 0.859 0.719 Dy
0.750 0.141 0.281 Dy
0.250 0.576 0.152 Si
0.750 0.424 0.848 Si
```

Results
- ρ (g/cm3) = 7.37
- space-group type = Cmcm (63)
- calculated formation energy (eV/atom) = -0.898

Record 6
LaI2 after structural relaxation, computed with r²SCAN.

The structure in POSCAR format:
```
LaI2
1.0
3.819 0.000 -1.032
-0.279 3.809 -1.032
0.048 0.052 7.760
La I
1 2
Direct
0.000 0.000 0.000 La
0.631 0.631 0.263 I
0.369 0.369 0.737 I
```

Results
- ρ (g/cm3) = 5.75
- space-group type = I4/mmm (139)
- calculated formation energy (eV/atom) = -1.635

Record 7
Nd4Cu3Ni after structural relaxation, computed with r²SCAN.

The structure in POSCAR format:
```
Nd4Cu3Ni
1.0
-4.014 -1.226 1.553
-1.636 -1.196 -5.172
2.433 -6.905 0.835
Nd Cu Ni
4 3 1
Direct
0.000 0.621 0.323 Nd
0.000 0.882 0.813 Nd
0.500 0.371 0.676 Nd
0.500 0.126 0.190 Nd
0.000 0.391 0.964 Cu
0.500 0.880 0.534 Cu
0.500 0.618 0.034 Cu
0.000 0.112 0.466 Ni
```

Results
- ρ (g/cm3) = 7.49
- space-group type = Pm (6)
- calculated formation energy (eV/atom) = -0.206

Record 8
LaReN3 after structural relaxation, computed with r²SCAN.

The structure in POSCAR format:
```
LaReN3
1.0
4.823 -2.801 0.000
4.823 2.801 0.000
3.197 0.000 4.570
La Re N
2 2 6
Direct
0.750 0.750 0.750 La
0.250 0.250 0.250 La
0.000 0.000 0.000 Re
0.500 0.500 0.500 Re
0.250 0.789 0.711 N
0.711 0.250 0.789 N
0.211 0.289 0.750 N
0.289 0.750 0.211 N
0.750 0.211 0.289 N
0.789 0.711 0.250 N
```

Results
- ρ (g/cm3) = 9.88
- space-group type = R-3c (167)
- calculated formation energy (eV/atom) = -0.929

Record 9
ThTeO after structural relaxation, computed with r²SCAN.

The structure in POSCAR format:
```
ThTeO
1.0
-1.214 -2.480 -3.071
-1.771 -2.529 2.742
-6.670 4.014 -0.605
Th Te O
2 2 2
Direct
0.250 0.250 0.165 Th
0.750 0.750 0.835 Th
0.250 0.250 0.642 Te
0.750 0.750 0.358 Te
0.250 0.750 0.000 O
0.750 0.250 0.000 O
```

Results
- ρ (g/cm3) = 9.37
- space-group type = P4/nmm (129)
- calculated formation energy (eV/atom) = -2.909

Record 10
KTiCl3 after structural relaxation, computed with r²SCAN.

The structure in POSCAR format:
```
KTiCl3
1.0
-8.411 9.059 -0.866
-1.931 -10.805 -5.739
-2.602 -1.978 4.593
K Ti Cl
6 6 18
Direct
0.661 0.001 0.661 K
0.998 0.660 0.660 K
0.339 0.001 0.170 K
0.662 0.661 0.171 K
0.341 0.340 0.660 K
0.999 0.337 0.168 K
0.000 0.000 0.488 Ti
0.667 0.333 0.887 Ti
0.667 0.333 0.420 Ti
0.000 0.000 0.971 Ti
0.333 0.667 0.384 Ti
0.333 0.667 0.918 Ti
0.518 0.820 0.149 Cl
0.481 0.180 0.655 Cl
0.844 0.481 0.152 Cl
0.302 0.482 0.153 Cl
0.637 0.155 0.155 Cl
0.183 0.140 0.228 Cl
0.155 0.520 0.653 Cl
0.859 0.042 0.233 Cl
0.144 0.957 0.727 Cl
0.956 0.816 0.233 Cl
0.812 0.856 0.731 Cl
0.822 0.303 0.656 Cl
0.046 0.187 0.726 Cl
0.181 0.701 0.153 Cl
0.697 0.518 0.652 Cl
0.364 0.845 0.649 Cl
0.480 0.637 0.649 Cl
0.519 0.362 0.150 Cl
```

Results
- ρ (g/cm3) = 2.57
- space-group type = P1 (1)
- calculated formation energy (eV/atom) = -1.874

Record 11
CsSbF6 after structural relaxation, computed with r²SCAN.

The structure in POSCAR format:
```
CsSbF6
1.0
5.225 -0.030 -0.550
-0.608 5.189 -0.550
-0.027 -0.030 5.254
Cs Sb F
1 1 6
Direct
0.500 0.500 0.500 Cs
0.000 0.000 0.000 Sb
0.696 0.078 0.811 F
0.078 0.811 0.696 F
0.189 0.304 0.922 F
0.922 0.189 0.304 F
0.304 0.922 0.189 F
0.811 0.696 0.078 F
```

Results
- ρ (g/cm3) = 4.31
- space-group type = R-3 (148)
- calculated formation energy (eV/atom) = -2.786

Record 12
Si after structural relaxation, computed with r²SCAN.

The structure in POSCAR format:
```
Si
1.0
0.000 3.846 0.000
-0.374 0.000 6.322
6.902 -1.923 -0.409
Si
8
Direct
0.056 0.874 0.111 Si
0.944 0.126 0.889 Si
0.559 0.653 0.118 Si
0.441 0.347 0.882 Si
0.213 0.057 0.425 Si
0.787 0.943 0.575 Si
0.727 0.586 0.454 Si
0.273 0.414 0.546 Si
```

Results
- relative energy among the computed polymorphs (eV/f.u.) = 0.08
- ρ (g/cm3) = 2.23
- space-group type = C2/m (12)
- calculated formation energy (eV/atom) = 0.082